Compound: CaCo5O7
Source: the Materials Project database
Functional: GGA+U
Structure: optimized geometry

Properties
MP2020-corrected energy ... -6.76 eV per atom
Magnetization ... 0.0 μB per cell

The structure in POSCAR format:
```
CaCo5O7
1.0
2.483 0.555 4.632
-2.599 2.399 -3.927
-15.166 -2.615 8.442
Ca Co O
2 10 14
Direct
0.196 0.804 0.750
0.804 0.196 0.250
0.719 0.281 0.573
0.553 0.447 0.150
0.000 0.000 0.500
0.000 0.000 0.000
0.447 0.553 0.850
0.281 0.719 0.427
0.281 0.719 0.073
0.719 0.281 0.927
0.447 0.553 0.650
0.553 0.447 0.350
0.364 0.636 0.962
0.636 0.364 0.038
0.636 0.364 0.462
0.364 0.636 0.538
0.820 0.180 0.829
0.180 0.820 0.171
0.180 0.820 0.329
0.820 0.180 0.671
0.078 0.922 0.890
0.922 0.078 0.110
0.922 0.078 0.390
0.078 0.922 0.610
0.520 0.480 0.750
0.480 0.520 0.250
```